Record 1
Material: LuCoGe
Method: DFT, PBE-GGA
State: optimized geometry

Calculated values
- ΔE_f (meV/atom) = -675.7
- space-group type = Pnma, No. 62
- E_tot (eV for the cell shown) = -73.117
- crystal system = orthorhombic

a b c (Å): 6.731 4.181 7.177
angles (deg): 90.00 90.00 90.00
Element x y z (fractional)
1 Lu 0.010 0.250 0.203
2 Lu 0.490 0.750 0.703
3 Lu 0.510 0.250 0.297
4 Lu 0.990 0.750 0.797
5 Co 0.188 0.750 0.417
6 Co 0.312 0.250 0.917
7 Co 0.688 0.750 0.083
8 Co 0.812 0.250 0.583
9 Ge 0.197 0.250 0.589
10 Ge 0.303 0.750 0.089
11 Ge 0.697 0.250 0.911
12 Ge 0.803 0.750 0.411

***

Record 2
Material: MgFe4P4S4
Method: DFT, PBE-GGA
State: optimized geometry

Calculated values
- ΔE_f (meV/atom) = -467.7
- space-group type = P-1, No. 2
- E_tot (eV for the cell shown) = -77.748
- crystal system = triclinic

a b c (Å): 5.556 5.825 5.871
angles (deg): 108.40 90.39 90.60
Element x y z (fractional)
1 Mg 0.000 0.000 0.000
2 Fe 0.008 0.256 0.754
3 Fe 0.491 0.265 0.276
4 Fe 0.509 0.735 0.724
5 Fe 0.992 0.744 0.246
6 P 0.154 0.137 0.402
7 P 0.395 0.145 0.858
8 P 0.605 0.855 0.142
9 P 0.846 0.863 0.598
10 S 0.148 0.620 0.822
11 S 0.362 0.652 0.334
12 S 0.638 0.348 0.666
13 S 0.852 0.380 0.178

***

Record 3
Material: AlCo3
Method: DFT, PBE-GGA
State: optimized geometry

Calculated values
- ΔE_f (meV/atom) = -182.9
- space-group type = Pm-3m, No. 221
- E_tot (eV for the cell shown) = -25.802
- crystal system = cubic

a b c (Å): 3.575 3.575 3.575
angles (deg): 90.00 90.00 90.00
Element x y z (fractional)
1 Al 0.000 0.000 0.000
2 Co 0.000 0.500 0.500
3 Co 0.500 0.000 0.500
4 Co 0.500 0.500 0.000

***

Record 4
Material: NaTl3F6
Method: DFT, PBE-GGA
State: optimized geometry

Calculated values
- ΔE_f (meV/atom) = -2297.3
- space-group type = Fm-3m, No. 225
- E_tot (eV for the cell shown) = -40.099
- crystal system = cubic

a b c (Å): 6.339 6.339 6.339
angles (deg): 60.00 60.00 60.00
Element x y z (fractional)
1 Na 0.000 0.000 0.000
2 Tl 0.250 0.250 0.250
3 Tl 0.500 0.500 0.500
4 Tl 0.750 0.750 0.750
5 F 0.255 0.255 0.745
6 F 0.255 0.745 0.255
7 F 0.255 0.745 0.745
8 F 0.745 0.255 0.255
9 F 0.745 0.255 0.745
10 F 0.745 0.745 0.255